[1]
RuAu3 | PBE | optimized geometry

Properties
- DFT formation energy: 0.366 eV per atom
- Final energy: -4.408 eV per atom
- Calculated volume: 17.10 A^3/atom
- Magnetization: 1.55 μB per formula unit

Lattice parameters (Å, degrees): 4.909 4.909 4.909 129.66 129.66 73.95
Sites, in units of the cell vectors:
1 Ru 0.000 0.000 0.000
2 Au 0.250 0.750 0.500
3 Au 0.500 0.500 0.000
4 Au 0.750 0.250 0.500


[2]
Y2RuAu | PBE | optimized geometry

Properties
- DFT formation energy: -0.574 eV per atom
- Final energy: -6.945 eV per atom
- Calculated volume: 21.69 A^3/atom
- Magnetization: 0.00 μB per formula unit

Lattice parameters (Å, degrees): 4.969 4.969 4.969 60.00 60.00 60.00
Sites, in units of the cell vectors:
1 Y 0.250 0.250 0.250
2 Y 0.750 0.750 0.750
3 Ru 0.000 0.000 0.000
4 Au 0.500 0.500 0.500


[3]
AuS | PBE | optimized geometry

Properties
- DFT formation energy: -0.034 eV per atom
- Final energy: -3.488 eV per atom
- Calculated volume: 22.84 A^3/atom
- Magnetization: 0.00 μB per formula unit

Lattice parameters (Å, degrees): 3.933 3.933 6.818 90.00 90.00 120.00
Sites, in units of the cell vectors:
1 Au 0.333 0.667 0.000
2 Au 0.667 0.333 0.500
3 S 0.333 0.667 0.354
4 S 0.667 0.333 0.854


[4]
Au3S | PBE | optimized geometry

Properties
- DFT formation energy: 0.224 eV per atom
- Final energy: -3.139 eV per atom
- Calculated volume: 18.11 A^3/atom
- Magnetization: 0.00 μB per formula unit

Lattice parameters (Å, degrees): 5.888 5.888 4.825 90.00 90.00 120.00
Sites, in units of the cell vectors:
1 Au 0.166 0.333 0.250
2 Au 0.166 0.834 0.250
3 Au 0.333 0.166 0.750
4 Au 0.667 0.834 0.250
5 Au 0.834 0.166 0.750
6 Au 0.834 0.667 0.750
7 S 0.333 0.667 0.750
8 S 0.667 0.333 0.250


[5]
Ta5AuS | PBE | optimized geometry

Properties
- DFT formation energy: -0.394 eV per atom
- Final energy: -9.851 eV per atom
- Calculated volume: 17.95 A^3/atom

Lattice parameters (Å, degrees): 8.924 8.924 8.924 60.00 60.00 60.00
Sites, in units of the cell vectors:
1 Ta 0.027 0.027 0.473
2 Ta 0.027 0.473 0.027
3 Ta 0.027 0.473 0.473
4 Ta 0.146 0.618 0.618
5 Ta 0.198 0.198 0.802
6 Ta 0.198 0.802 0.198
7 Ta 0.198 0.802 0.802
8 Ta 0.473 0.027 0.027
9 Ta 0.473 0.027 0.473
10 Ta 0.473 0.473 0.027
11 Ta 0.504 0.832 0.832
12 Ta 0.618 0.146 0.618
13 Ta 0.618 0.618 0.146
14 Ta 0.618 0.618 0.618
15 Ta 0.802 0.198 0.198
16 Ta 0.802 0.198 0.802
17 Ta 0.802 0.802 0.198
18 Ta 0.832 0.504 0.832
19 Ta 0.832 0.832 0.504
20 Ta 0.832 0.832 0.832
21 Au 0.400 0.400 0.400
22 Au 0.400 0.400 0.801
23 Au 0.400 0.801 0.400
24 Au 0.801 0.400 0.400
25 S 0.131 0.131 0.131
26 S 0.131 0.131 0.607
27 S 0.131 0.607 0.131
28 S 0.607 0.131 0.131


[6]
VAuS2 | PBE | optimized geometry

Properties
- DFT formation energy: -0.956 eV per atom
- Final energy: -5.862 eV per atom
- Calculated volume: 17.11 A^3/atom

Lattice parameters (Å, degrees): 3.225 3.225 15.189 90.00 90.00 120.00
Sites, in units of the cell vectors:
1 V 0.333 0.667 0.250
2 V 0.667 0.333 0.750
3 Au 0.000 0.000 0.000
4 Au 0.000 0.000 0.500
5 S 0.000 0.000 0.156
6 S 0.000 0.000 0.344
7 S 0.000 0.000 0.656
8 S 0.000 0.000 0.844


[7]
Sb2Au | PBE | optimized geometry

Properties
- DFT formation energy: -0.073 eV per atom
- Final energy: -3.917 eV per atom
- Calculated volume: 26.10 A^3/atom

Lattice parameters (Å, degrees): 6.791 6.791 6.791 90.00 90.00 90.00
Sites, in units of the cell vectors:
1 Sb 0.124 0.124 0.124
2 Sb 0.124 0.376 0.624
3 Sb 0.376 0.624 0.124
4 Sb 0.376 0.876 0.624
5 Sb 0.624 0.124 0.376
6 Sb 0.624 0.376 0.876
7 Sb 0.876 0.624 0.376
8 Sb 0.876 0.876 0.876
9 Au 0.000 0.000 0.500
10 Au 0.000 0.500 0.000
11 Au 0.500 0.000 0.000
12 Au 0.500 0.500 0.500


[8]
Sb3Au | PBE | optimized geometry

Properties
- DFT formation energy: 0.051 eV per atom
- Final energy: -3.864 eV per atom
- Calculated volume: 26.58 A^3/atom

Lattice parameters (Å, degrees): 5.169 5.169 5.169 109.47 109.47 109.47
Sites, in units of the cell vectors:
1 Sb 0.000 0.500 0.500
2 Sb 0.500 0.000 0.500
3 Sb 0.500 0.500 0.000
4 Au 0.000 0.000 0.000


[9]
Sb3Au | PBE | optimized geometry

Properties
- DFT formation energy: 0.070 eV per atom
- Final energy: -3.845 eV per atom
- Calculated volume: 27.72 A^3/atom
- Magnetization: 0.03 μB per formula unit

Lattice parameters (Å, degrees): 3.063 3.063 11.815 90.00 90.00 90.00
Sites, in units of the cell vectors:
1 Sb 0.000 0.000 0.000
2 Sb 0.000 0.000 0.269
3 Sb 0.000 0.000 0.731
4 Au 0.000 0.000 0.500


[10]
SmSb2Au | PBE | optimized geometry

Properties
- DFT formation energy: -0.688 eV per atom
- Final energy: -4.751 eV per atom
- Calculated volume: 25.14 A^3/atom
- Magnetization: 0.00 μB per formula unit

Lattice parameters (Å, degrees): 4.423 4.423 10.280 90.00 90.00 90.00
Sites, in units of the cell vectors:
1 Sm 0.250 0.250 0.245
2 Sm 0.750 0.750 0.755
3 Sb 0.250 0.250 0.681
4 Sb 0.250 0.750 0.000
5 Sb 0.750 0.250 0.000
6 Sb 0.750 0.750 0.319
7 Au 0.250 0.750 0.500
8 Au 0.750 0.250 0.500


[11]
SrSbAu | PBE | optimized geometry

Properties
- DFT formation energy: -0.387 eV per atom
- Final energy: -3.418 eV per atom
- Calculated volume: 28.15 A^3/atom
- Magnetization: 0.00 μB per formula unit

Lattice parameters (Å, degrees): 5.468 5.468 6.522 90.00 90.00 120.00
Sites, in units of the cell vectors:
1 Sr 0.333 0.667 0.250
2 Sr 0.667 0.333 0.750
3 Sb 0.333 0.667 0.750
4 Sb 0.667 0.333 0.250
5 Au 0.000 0.000 0.000
6 Au 0.000 0.000 0.500


[12]
Tb5SbAu2 | PBE | optimized geometry

Properties
- DFT formation energy: -0.752 eV per atom
- Final energy: -4.983 eV per atom
- Calculated volume: 27.06 A^3/atom
- Magnetization: 0.00 μB per formula unit

Lattice parameters (Å, degrees): 8.699 8.699 8.699 124.11 124.11 83.01
Sites, in units of the cell vectors:
1 Tb 0.000 0.000 0.000
2 Tb 0.015 0.515 0.814
3 Tb 0.201 0.015 0.500
4 Tb 0.299 0.799 0.814
5 Tb 0.485 0.299 0.500
6 Tb 0.500 0.500 0.000
7 Tb 0.515 0.701 0.500
8 Tb 0.701 0.201 0.186
9 Tb 0.799 0.985 0.500
10 Tb 0.985 0.485 0.186
11 Sb 0.250 0.250 0.000
12 Sb 0.750 0.750 0.000
13 Au 0.136 0.364 0.500
14 Au 0.364 0.864 0.227
15 Au 0.636 0.136 0.773
16 Au 0.864 0.636 0.500